1.
Material: Mg4VN4
Method: DFT, GGA-PBE
State: relaxed

Properties
**Energy of formation**: -0.975 eV/atom
**Calculated volume**: 11.845 Å³/atom
**Size of the total moment**: 0.042 μB/atom

CIF file:
```
data_Mg4VN4
_space_group_name_H-M_alt 'P -1'
_space_group_IT_number 2
_space_group_name_Hall '-P 1'
_cell_length_a 5.401
_cell_length_b 5.402
_cell_length_c 8.222
_cell_angle_alpha 71.63
_cell_angle_beta 84.39
_cell_angle_gamma 69.49
loop_
_atom_site_label
_atom_site_type_symbol
_atom_site_fract_x
_atom_site_fract_y
_atom_site_fract_z
Mg1 Mg 0.228 0.331 0.297
Mg2 Mg 0.244 0.549 0.920
Mg3 Mg 0.247 0.962 0.093
Mg4 Mg 0.255 0.743 0.502
V1 V 0.228 0.109 0.734
N1 N 0.010 0.303 0.879
N2 N 0.014 0.918 0.696
N3 N 0.334 0.313 0.538
N4 N 0.491 0.817 0.881
```



2.
Material: TaBi3O7
Method: DFT, GGA-PBE
State: relaxed

Properties
**Energy of formation**: -2.073 eV/atom
**Calculated volume**: 15.067 Å³/atom
**Size of the total moment**: 0.000 μB/atom

CIF file:
```
data_TaBi3O7
_space_group_name_H-M_alt 'P 1'
_space_group_IT_number 1
_space_group_name_Hall 'P 1'
_cell_length_a 3.769
_cell_length_b 3.925
_cell_length_c 12.882
_cell_angle_alpha 81.60
_cell_angle_beta 81.67
_cell_angle_gamma 61.93
loop_
_atom_site_label
_atom_site_type_symbol
_atom_site_fract_x
_atom_site_fract_y
_atom_site_fract_z
Ta1 Ta 0.000 0.000 0.000
Bi1 Bi 0.306 0.174 0.232
Bi2 Bi 0.554 0.405 0.510
Bi3 Bi 0.802 0.646 0.769
O1 O 0.024 0.815 0.154
O2 O 0.108 0.963 0.848
O3 O 0.397 0.185 0.040
O4 O 0.499 0.333 0.692
O5 O 0.636 0.430 0.319
O6 O 0.748 0.570 0.964
O7 O 0.877 0.748 0.525
```



3.
Material: PrZnBi2O6
Method: DFT, GGA-PBE
State: relaxed

Properties
**Energy above the most stable polymorph in this dataset**: 60.3 kJ per mole of atoms
**Energy of formation**: -1.465 eV/atom
**Calculated volume**: 14.928 Å³/atom
**Size of the total moment**: 0.086 μB/atom

CIF file:
```
data_PrZnBi2O6
_space_group_name_H-M_alt 'F m -3 m'
_space_group_IT_number 225
_space_group_name_Hall '-F 4 2 3'
_cell_length_a 8.421
_cell_length_b 8.421
_cell_length_c 8.421
_cell_angle_alpha 90.00
_cell_angle_beta 90.00
_cell_angle_gamma 90.00
loop_
_atom_site_label
_atom_site_type_symbol
_atom_site_fract_x
_atom_site_fract_y
_atom_site_fract_z
Pr1 Pr 0.000 0.000 0.000
Zn1 Zn 0.000 0.000 0.500
Bi1 Bi 0.250 0.250 0.250
O1 O 0.000 0.000 0.268
```



4.
Material: Na2Sm2Ti3O10
Method: DFT, GGA-PBE
State: relaxed

Properties
**Energy of formation**: -3.355 eV/atom
**Calculated volume**: 12.425 Å³/atom
**Size of the total moment**: 0.000 μB/atom

CIF file:
```
data_Na2Sm2Ti3O10
_space_group_name_H-M_alt 'I 4/m m m'
_space_group_IT_number 139
_space_group_name_Hall '-I 4 2'
_cell_length_a 3.837
_cell_length_b 3.837
_cell_length_c 28.698
_cell_angle_alpha 90.00
_cell_angle_beta 90.00
_cell_angle_gamma 90.00
loop_
_atom_site_label
_atom_site_type_symbol
_atom_site_fract_x
_atom_site_fract_y
_atom_site_fract_z
Na1 Na 0.000 0.000 0.212
Sm1 Sm 0.000 0.000 0.075
Ti1 Ti 0.000 0.000 0.354
Ti2 Ti 0.000 0.000 0.500
O1 O 0.000 0.000 0.292
O2 O 0.000 0.000 0.433
O3 O 0.000 0.500 0.000
O4 O 0.000 0.500 0.131
```



5.
Material: Ho2CdPd2
Method: DFT, GGA-PBE
State: relaxed

Properties
**Energy of formation**: -0.812 eV/atom
**Calculated volume**: 22.206 Å³/atom

CIF file:
```
data_Ho2CdPd2
_space_group_name_H-M_alt 'P 4/m b m'
_space_group_IT_number 127
_space_group_name_Hall '-P 4 2ab'
_cell_length_a 7.707
_cell_length_b 7.707
_cell_length_c 3.738
_cell_angle_alpha 90.00
_cell_angle_beta 90.00
_cell_angle_gamma 90.00
loop_
_atom_site_label
_atom_site_type_symbol
_atom_site_fract_x
_atom_site_fract_y
_atom_site_fract_z
Ho1 Ho 0.175 0.325 0.000
Cd1 Cd 0.000 0.000 0.500
Pd1 Pd 0.127 0.627 0.500
```



6.
Material: MoW2Se4S2
Method: DFT, GGA-PBE
State: relaxed

Properties
**Energy above the most stable polymorph in this dataset**: 0.0 kJ per mole of atoms
**Energy of formation**: -0.782 eV/atom
**Calculated volume**: 31.177 Å³/atom
**Size of the total moment**: 0.000 μB/atom

CIF file:
```
data_MoW2Se4S2
_space_group_name_H-M_alt 'P 3 m 1'
_space_group_IT_number 156
_space_group_name_Hall 'P 3 -2"'
_cell_length_a 3.2745
_cell_length_b 3.2745
_cell_length_c 30.2170
_cell_angle_alpha 90.00
_cell_angle_beta 90.00
_cell_angle_gamma 120.00
loop_
_atom_site_label
_atom_site_type_symbol
_atom_site_fract_x
_atom_site_fract_y
_atom_site_fract_z
Mo1 Mo 0.0000 0.0000 0.0000
W1 W 0.0000 0.0000 0.5373
W2 W 0.3333 0.6667 0.7687
Se1 Se 0.3333 0.6667 0.0559
Se2 Se 0.3333 0.6667 0.4810
Se3 Se 0.3333 0.6667 0.5936
Se4 Se 0.3333 0.6667 0.9441
S1 S 0.0000 0.0000 0.7176
S2 S 0.0000 0.0000 0.8198
```



7.
Material: KSbAsO4F2
Method: DFT, GGA-PBE
State: relaxed

Properties
**Energy of formation**: -2.051 eV/atom
**Calculated volume**: 17.035 Å³/atom
**Size of the total moment**: 0.000 μB/atom

CIF file:
```
data_KSbAsO4F2
_space_group_name_H-M_alt 'P 1 21/c 1'
_space_group_IT_number 14
_space_group_name_Hall '-P 2ybc'
_cell_length_a 7.175
_cell_length_b 7.936
_cell_length_c 10.883
_cell_angle_alpha 90.00
_cell_angle_beta 98.25
_cell_angle_gamma 90.00
loop_
_atom_site_label
_atom_site_type_symbol
_atom_site_fract_x
_atom_site_fract_y
_atom_site_fract_z
K1 K 0.248 0.083 0.024
Sb1 Sb 0.232 0.615 0.857
As1 As 0.321 0.551 0.176
O1 O 0.228 0.007 0.523
O2 O 0.233 0.077 0.775
O3 O 0.258 0.735 0.692
O4 O 0.431 0.057 0.312
F1 F 0.057 0.707 0.406
F2 F 0.429 0.735 0.438
```



8.
Material: LiMg14BO15
Method: DFT, GGA-PBE
State: relaxed

Properties
**Energy above the most stable polymorph in this dataset**: 0.0 kJ per mole of atoms
**Energy of formation**: -2.772 eV/atom
**Calculated volume**: 9.919 Å³/atom
**Size of the total moment**: 0.000 μB/atom

CIF file:
```
data_LiMg14BO15
_space_group_name_H-M_alt 'P m m 2'
_space_group_IT_number 25
_space_group_name_Hall 'P 2 -2'
_cell_length_a 4.279
_cell_length_b 8.354
_cell_length_c 8.602
_cell_angle_alpha 90.00
_cell_angle_beta 90.00
_cell_angle_gamma 90.00
loop_
_atom_site_label
_atom_site_type_symbol
_atom_site_fract_x
_atom_site_fract_y
_atom_site_fract_z
Li1 Li 0.000 0.000 0.000
Mg1 Mg 0.000 0.000 0.489
Mg2 Mg 0.000 0.244 0.241
Mg3 Mg 0.000 0.263 0.742
Mg4 Mg 0.000 0.500 0.489
Mg5 Mg 0.500 0.000 0.233
Mg6 Mg 0.500 0.000 0.751
Mg7 Mg 0.500 0.249 0.490
Mg8 Mg 0.500 0.259 0.991
Mg9 Mg 0.500 0.500 0.238
Mg10 Mg 0.500 0.500 0.750
B1 B 0.000 0.500 0.047
O1 O 0.000 0.000 0.236
O2 O 0.000 0.251 0.482
O3 O 0.000 0.329 0.997
O4 O 0.000 0.500 0.221
O5 O 0.000 0.500 0.716
O6 O 0.500 0.000 0.488
O7 O 0.500 0.000 0.992
O8 O 0.500 0.250 0.237
O9 O 0.500 0.253 0.744
O10 O 0.500 0.500 0.001
O11 O 0.500 0.500 0.477
```



9.
Material: CeSe2
Method: DFT, GGA-PBE
State: relaxed

Properties
**Energy of formation**: -1.918 eV/atom
**Calculated volume**: 24.409 Å³/atom

CIF file:
```
data_CeSe2
_space_group_name_H-M_alt 'P 4/n m m'
_space_group_IT_number 129
_cell_length_a 4.209
_cell_length_b 4.209
_cell_length_c 8.268
_cell_angle_alpha 90.00
_cell_angle_beta 90.00
_cell_angle_gamma 90.00
loop_
_space_group_symop_operation_xyz
'x,y,z'
'-x,-y,-z'
'-y+1/2,x,z'
'y+1/2,-x,-z'
'-x+1/2,-y+1/2,z'
'x+1/2,y+1/2,-z'
'y,-x+1/2,z'
'-y,x+1/2,-z'
'x+1/2,-y,-z'
'-x+1/2,y,z'
'-y,-x,-z'
'y,x,z'
'-x,y+1/2,-z'
'x,-y+1/2,z'
'y+1/2,x+1/2,-z'
'-y+1/2,-x+1/2,z'
loop_
_atom_site_label
_atom_site_type_symbol
_atom_site_fract_x
_atom_site_fract_y
_atom_site_fract_z
Ce1 Ce 0.250 0.250 0.232
Se1 Se 0.250 0.250 0.864
Se2 Se 0.250 0.750 0.500
```



10.
Material: U3P2O18
Method: DFT, GGA-PBE
State: relaxed

Properties
**Energy of formation**: -2.144 eV/atom
**Calculated volume**: 18.359 Å³/atom
**Size of the total moment**: 0.174 μB/atom

CIF file:
```
data_U3P2O18
_space_group_name_H-M_alt 'P n m a'
_space_group_IT_number 62
_space_group_name_Hall '-P 2ac 2n'
_cell_length_a 7.215
_cell_length_b 17.497
_cell_length_c 13.379
_cell_angle_alpha 90.00
_cell_angle_beta 90.00
_cell_angle_gamma 90.00
loop_
_atom_site_label
_atom_site_type_symbol
_atom_site_fract_x
_atom_site_fract_y
_atom_site_fract_z
U1 U 0.219 0.250 0.034
U2 U 0.243 0.022 0.325
P1 P 0.242 0.039 0.085
O1 O 0.052 0.250 0.136
O2 O 0.052 0.750 0.601
O3 O 0.075 0.023 0.157
O4 O 0.089 0.525 0.656
O5 O 0.117 0.714 0.068
O6 O 0.156 0.250 0.684
O7 O 0.210 0.750 0.403
O8 O 0.233 0.122 0.047
O9 O 0.242 0.124 0.326
O10 O 0.244 0.581 0.318
O11 O 0.247 0.517 0.996
```



11.
Material: Sr2Al7Ge
Method: DFT, GGA-PBE
State: relaxed

Properties
**Energy of formation**: -0.254 eV/atom
**Calculated volume**: 22.186 Å³/atom
**Size of the total moment**: 0.004 μB/atom

CIF file:
```
data_Sr2Al7Ge
_space_group_name_H-M_alt 'P 4 m m'
_space_group_IT_number 99
_space_group_name_Hall 'P 4 -2'
_cell_length_a 4.473
_cell_length_b 4.473
_cell_length_c 11.088
_cell_angle_alpha 90.00
_cell_angle_beta 90.00
_cell_angle_gamma 90.00
loop_
_atom_site_label
_atom_site_type_symbol
_atom_site_fract_x
_atom_site_fract_y
_atom_site_fract_z
Sr1 Sr 0.000 0.000 0.000
Sr2 Sr 0.500 0.500 0.498
Al1 Al 0.000 0.000 0.381
Al2 Al 0.000 0.500 0.249
Al3 Al 0.000 0.500 0.750
Al4 Al 0.500 0.500 0.117
Al5 Al 0.500 0.500 0.880
Ge1 Ge 0.000 0.000 0.616
```



Number 1: DFT total energy -112.3 eV/cell. Number 2: DFT total energy -76.2 eV/cell. Number 3: DFT total energy -216.2 eV/cell. Number 4: DFT total energy -270.8 eV/cell. Number 5: DFT total energy -49.0 eV/cell. Number 6: DFT total energy -65.1 eV/cell. Number 7: DFT total energy -193.2 eV/cell. Number 8: DFT total energy -180.8 eV/cell. Number 9: DFT total energy -35.5 eV/cell. Number 10: DFT total energy -720.7 eV/cell. Number 11: DFT total energy -36.8 eV/cell.